# FeI2, relaxed, DFT PBE
# - ΔE_f: -34 kJ per mole of atoms
# - Calculated density: 5.06 Mg/m³
data_FeI2
_space_group_name_H-M_alt 'P -3 m 1'
_space_group_IT_number 164
_space_group_name_Hall '-P 3 2"'
_cell_length_a 4.0109
_cell_length_b 4.0109
_cell_length_c 7.2901
_cell_angle_alpha 90.00
_cell_angle_beta 90.00
_cell_angle_gamma 120.00
loop_
_atom_site_label
_atom_site_type_symbol
_atom_site_fract_x
_atom_site_fract_y
_atom_site_fract_z
Fe1 Fe 0.0000 0.0000 0.0000
I1 I 0.3333 0.6667 0.7778